1.
DFT (PBE) results for a relaxed structure of Na14Ca4Si7Sn4S5O48.

Cell lengths 9.3491, 16.1866, 22.6987 Å; angles 89.46, 89.91, 89.97 degrees
Space group P1 (No. 1)
Symmetry-distinct sites (fractional):
Na 0.0000 0.0000 0.0000 x1
Na 0.0001 0.2993 0.6747 x1
Na 0.0043 0.3404 0.3274 x1
Na 0.0144 0.9623 0.3279 x1
Na 0.0364 0.6479 0.3347 x1
Na 0.0398 0.3123 0.0036 x1
Na 0.0628 0.9808 0.6682 x1
Na 0.1753 0.1553 0.0859 x1
Na 0.1791 0.4823 0.4106 x1
Na 0.1838 0.1497 0.5791 x1
Na 0.1876 0.4761 0.9201 x1
Na 0.1911 0.8200 0.7651 x1
Na 0.1926 0.8252 0.2507 x1
Na 0.2941 0.9749 0.1783 x1
Na 0.3284 0.6477 0.8462 x1
Na 0.3290 0.3058 0.4997 x1
Na 0.3518 0.2951 0.1629 x1
Na 0.3561 0.9545 0.8359 x1
Na 0.3588 0.9887 0.4958 x1
Na 0.3763 0.6750 0.1575 x1
Na 0.4862 0.1777 0.6585 x1
Na 0.4950 0.7905 0.6674 x1
Na 0.5059 0.4856 0.0026 x1
Na 0.5096 0.4528 0.3300 x1
Na 0.5321 0.8045 0.0067 x1
Na 0.5340 0.1522 0.3405 x1
Na 0.5682 0.4717 0.6779 x1
Na 0.6719 0.3266 0.7539 x1
Na 0.6767 0.9778 0.4149 x1
Na 0.6830 0.6448 0.0818 x1
Na 0.6851 0.6447 0.5785 x1
Na 0.6864 0.9842 0.9144 x1
Na 0.6938 0.3222 0.2546 x1
Na 0.8196 0.4706 0.1713 x1
Na 0.8292 0.1489 0.8406 x1
Na 0.8288 0.8125 0.4923 x1
Na 0.8520 0.4604 0.8342 x1
Na 0.8630 0.8381 0.8431 x1
Na 0.8653 0.7971 0.1749 x1
Na 0.8666 0.4996 0.4929 x1
Na 0.8853 0.1723 0.1560 x1
Na 0.9898 0.6599 0.6555 x1
Ca 0.1756 0.4768 0.2711 x1
Ca 0.1777 0.1537 0.7372 x1
Ca 0.1831 0.1453 0.2329 x1
Ca 0.1834 0.8146 0.0995 x1
Ca 0.1885 0.8073 0.9071 x1
Ca 0.1881 0.8130 0.5886 x1
Ca 0.6786 0.6397 0.7365 x1
Ca 0.6796 0.3089 0.4048 x1
Ca 0.6801 0.3144 0.5990 x1
Ca 0.6830 0.3143 0.0928 x1
Ca 0.6867 0.6525 0.2360 x1
Ca 0.6869 0.9789 0.7742 x1
Si 0.0177 0.2993 0.8335 x1
Si 0.0289 0.3313 0.1671 x1
Si 0.0339 0.6598 0.5011 x1
Si 0.0345 0.9686 0.5011 x1
Si 0.0396 0.9977 0.8333 x1
Si 0.3297 0.3346 0.6629 x1
Si 0.3323 0.2956 0.3345 x1
Si 0.3368 0.6566 0.0024 x1
Si 0.3397 0.9897 0.3325 x1
Si 0.3799 0.3069 0.0033 x1
Si 0.4870 0.8063 0.5048 x1
Si 0.5242 0.1589 0.5021 x1
Si 0.5238 0.4885 0.8322 x1
Si 0.5351 0.7947 0.8323 x1
Si 0.5346 0.8345 0.1627 x1
Si 0.8277 0.4985 0.3351 x1
Si 0.8294 0.1590 0.9992 x1
Si 0.8328 0.4692 0.9986 x1
Si 0.8462 0.8002 0.3341 x1
Si 0.8926 0.4816 0.6682 x1
Si 0.9721 0.9798 0.1680 x1
Sn 0.1716 0.1553 0.9317 x1
Sn 0.1771 0.4733 0.0595 x1
Sn 0.1775 0.4834 0.5667 x1
Sn 0.1841 0.4652 0.7712 x1
Sn 0.1846 0.8158 0.4060 x1
Sn 0.2011 0.1391 0.4300 x1
Sn 0.6612 0.6388 0.9310 x1
Sn 0.6794 0.9658 0.2702 x1
Sn 0.6821 0.3157 0.9066 x1
Sn 0.6845 0.9783 0.5572 x1
Sn 0.6872 0.9841 0.0676 x1
Sn 0.6930 0.6556 0.4307 x1
S 0.0362 0.6246 0.1646 x1
S 0.3231 0.6245 0.6687 x1
S 0.3403 0.9703 0.0002 x1
S 0.3867 0.6513 0.3366 x1
S 0.3915 0.9789 0.6661 x1
S 0.4762 0.4817 0.1663 x1
S 0.4789 0.1504 0.8355 x1
S 0.5244 0.4706 0.5017 x1
S 0.5417 0.1223 0.1692 x1
S 0.8287 0.1218 0.6637 x1
S 0.8314 0.8346 0.6648 x1
S 0.8688 0.8141 0.0008 x1
S 0.8869 0.1430 0.3333 x1
S 0.9803 0.6445 0.8316 x1
S 0.9951 0.3144 0.5023 x1
O 0.0001 0.4771 0.7267 x1
O 0.0023 0.5033 0.3396 x1
O 0.0067 0.1434 0.9914 x1
O 0.0094 0.4723 0.0019 x1
O 0.0233 0.8053 0.3428 x1
O 0.0374 0.2495 0.7730 x1
O 0.0454 0.7108 0.5614 x1
O 0.0585 0.3850 0.2255 x1
O 0.0593 0.9024 0.4468 x1
O 0.0600 0.8929 0.1686 x1
O 0.0684 0.7199 0.8393 x1
O 0.0742 0.0602 0.1656 x1
O 0.0766 0.5703 0.8303 x1
O 0.0779 0.5714 0.1140 x1
O 0.0827 0.3954 0.8333 x1
O 0.0895 0.2409 0.4984 x1
O 0.0900 0.3920 0.5029 x1
O 0.0920 0.0566 0.8907 x1
O 0.0933 0.2552 0.8909 x1
O 0.0934 0.5912 0.2204 x1
O 0.0949 0.7092 0.1581 x1
O 0.0979 0.9027 0.8411 x1
O 0.1002 0.3809 0.1072 x1
O 0.1008 0.0613 0.4865 x1
O 0.1043 0.7081 0.4437 x1
O 0.1054 0.5637 0.5029 x1
O 0.1071 0.0331 0.7720 x1
O 0.1109 0.2422 0.1626 x1
O 0.1119 0.9394 0.5613 x1
O 0.2487 0.2452 0.6633 x1
O 0.2510 0.2474 0.3941 x1
O 0.2529 0.7069 0.6656 x1
O 0.2588 0.0239 0.2750 x1
O 0.2610 0.3876 0.3399 x1
O 0.2653 0.8986 0.3448 x1
O 0.2667 0.3825 0.6022 x1
O 0.2675 0.5828 0.7225 x1
O 0.2692 0.2275 0.9911 x1
O 0.2731 0.6896 0.9408 x1
O 0.2738 0.9324 0.0528 x1
O 0.2754 0.0536 0.9931 x1
O 0.2777 0.3923 0.0016 x1
O 0.2807 0.5595 0.0115 x1
O 0.2893 0.7238 0.3440 x1
O 0.2925 0.5745 0.6148 x1
O 0.2981 0.3954 0.7192 x1
O 0.2990 0.5749 0.3358 x1
O 0.2986 0.9040 0.6646 x1
O 0.3021 0.2413 0.2769 x1
O 0.3029 0.0553 0.6644 x1
O 0.3175 0.7173 0.0580 x1
O 0.3171 0.9178 0.9478 x1
O 0.3182 0.0502 0.3912 x1
O 0.3441 0.1503 0.4981 x1
O 0.3440 0.4924 0.8285 x1
O 0.3614 0.8017 0.8387 x1
O 0.3614 0.8257 0.1649 x1
O 0.3634 0.4762 0.5066 x1
O 0.3673 0.8295 0.4540 x1
O 0.3777 0.1400 0.8858 x1
O 0.3816 0.4883 0.1131 x1
O 0.3846 0.1275 0.1707 x1
O 0.3901 0.4786 0.2208 x1
O 0.4026 0.1602 0.7790 x1
O 0.4179 0.7919 0.5689 x1
O 0.4525 0.2929 0.0663 x1
O 0.4642 0.6631 0.2809 x1
O 0.4788 0.9735 0.7198 x1
O 0.4810 0.6337 0.6693 x1
O 0.4870 0.6415 0.3877 x1
O 0.4868 0.9829 0.6124 x1
O 0.4965 0.3269 0.9501 x1
O 0.5007 0.9761 0.0058 x1
O 0.5030 0.3255 0.6653 x1
O 0.5063 0.3035 0.3393 x1
O 0.5183 0.6503 0.9981 x1
O 0.5197 0.9926 0.3286 x1
O 0.5456 0.2149 0.5600 x1
O 0.5466 0.5527 0.8883 x1
O 0.5500 0.4181 0.4500 x1
O 0.5646 0.4054 0.1647 x1
O 0.5660 0.7474 0.7710 x1
O 0.5660 0.8949 0.2192 x1
O 0.5670 0.0733 0.8352 x1
O 0.5682 0.5570 0.1647 x1
O 0.5727 0.0718 0.1152 x1
O 0.5759 0.2224 0.8420 x1
O 0.5812 0.0607 0.5087 x1
O 0.5880 0.5545 0.4951 x1
O 0.5891 0.4336 0.5551 x1
O 0.5900 0.1933 0.4416 x1
O 0.5932 0.8910 0.5048 x1
O 0.5963 0.7275 0.4917 x1
O 0.5971 0.8823 0.1015 x1
O 0.6000 0.3984 0.8443 x1
O 0.6017 0.0810 0.2229 x1
O 0.6016 0.5215 0.7730 x1
O 0.6083 0.2046 0.1654 x1
O 0.6075 0.8865 0.8388 x1
O 0.6161 0.7455 0.1627 x1
O 0.6173 0.7442 0.8894 x1
O 0.7490 0.4393 0.0569 x1
O 0.7545 0.5368 0.2764 x1
O 0.7585 0.0623 0.0020 x1
O 0.7615 0.2043 0.9398 x1
O 0.7641 0.7514 0.6652 x1
O 0.7657 0.5627 0.9849 x1
O 0.7669 0.2051 0.6566 x1
O 0.7705 0.4037 0.3418 x1
O 0.7711 0.8778 0.6107 x1
O 0.7719 0.0864 0.7187 x1
O 0.7716 0.7584 0.3934 x1
O 0.7736 0.7407 0.9968 x1
O 0.7744 0.8915 0.0018 x1
O 0.7761 0.5550 0.3951 x1
O 0.7807 0.8961 0.3334 x1
O 0.7899 0.0687 0.3325 x1
O 0.7908 0.0662 0.6129 x1
O 0.7921 0.5641 0.6655 x1
O 0.7977 0.8826 0.7174 x1
O 0.7994 0.2185 0.3410 x1
O 0.8026 0.3955 0.6683 x1
O 0.8076 0.4055 0.9423 x1
O 0.8170 0.2117 0.0579 x1
O 0.8251 0.7481 0.2751 x1
O 0.8405 0.3046 0.8418 x1
O 0.8543 0.3219 0.1641 x1
O 0.8564 0.9691 0.5049 x1
O 0.8567 0.6461 0.4929 x1
O 0.8642 0.9998 0.8380 x1
O 0.8651 0.9746 0.2269 x1
O 0.8743 0.9915 0.1067 x1
O 0.8769 0.6286 0.1646 x1
O 0.8797 0.6310 0.8817 x1
O 0.9017 0.6550 0.7757 x1
O 0.9041 0.3262 0.4502 x1
O 0.9108 0.3089 0.5568 x1
O 0.9554 0.8082 0.0538 x1
O 0.9583 0.8255 0.9473 x1
O 0.9666 0.1519 0.2786 x1
O 0.9858 0.1287 0.3847 x1
O 0.9876 0.1270 0.6634 x1
O 0.9895 0.8270 0.6611 x1
O 0.9929 0.4949 0.6079 x1

Summary:
E_form in eV/atom: -2.496
E_tot in eV per cell: -1531.4

---

2.
DFT (PBE) results for a relaxed structure of Na6Ca2Si5Sn6S7O48.

Cell lengths 9.0131, 15.4828, 23.0459 Å; angles 90.02, 90.12, 90.03 degrees
Space group P1 (No. 1)
Symmetry-distinct sites (fractional):
Na 0.0000 0.0000 0.0000 x1
Na 0.0018 0.0269 0.4920 x1
Na 0.1624 0.1787 0.0837 x1
Na 0.2754 0.6798 0.5764 x1
Na 0.4345 0.4966 0.4954 x1
Na 0.4544 0.8478 0.3220 x1
Na 0.4595 0.8387 0.8308 x1
Na 0.4612 0.5243 0.9973 x1
Na 0.4656 0.1767 0.1523 x1
Na 0.4882 0.1955 0.6619 x1
Na 0.6202 0.3349 0.0897 x1
Na 0.6238 0.0278 0.0926 x1
Na 0.8121 0.5285 0.5835 x1
Na 0.8149 0.8392 0.5797 x1
Na 0.9505 0.6992 0.1705 x1
Na 0.9711 0.6809 0.6439 x1
Na 0.9759 0.3331 0.3323 x1
Na 0.9837 0.3356 0.8177 x1
Ca 0.4584 0.8443 0.1872 x1
Ca 0.4680 0.1817 0.0089 x1
Ca 0.4687 0.8521 0.6808 x1
Ca 0.9685 0.3506 0.1818 x1
Ca 0.9698 0.6828 0.5074 x1
Ca 0.9766 0.3427 0.6846 x1
Si 0.1030 0.8706 0.2512 x1
Si 0.1132 0.4909 0.5775 x1
Si 0.1147 0.8299 0.9077 x1
Si 0.1628 0.8557 0.5823 x1
Si 0.2722 0.3582 0.0786 x1
Si 0.3226 0.9901 0.0770 x1
Si 0.3260 0.3291 0.4072 x1
Si 0.3283 0.0300 0.4123 x1
Si 0.3339 0.3730 0.7521 x1
Si 0.6069 0.6999 0.5786 x1
Si 0.6221 0.6562 0.2481 x1
Si 0.6689 0.6827 0.9111 x1
Si 0.7684 0.1840 0.4111 x1
Si 0.8166 0.1560 0.7482 x1
Si 0.8286 0.1978 0.0786 x1
Sn 0.4445 0.8491 0.4802 x1
Sn 0.4514 0.8458 0.9719 x1
Sn 0.4555 0.5089 0.6410 x1
Sn 0.4632 0.5192 0.1467 x1
Sn 0.4691 0.5111 0.3473 x1
Sn 0.4725 0.1833 0.5025 x1
Sn 0.4729 0.5201 0.8489 x1
Sn 0.4767 0.1779 0.3157 x1
Sn 0.4825 0.1861 0.8074 x1
Sn 0.9559 0.6864 0.3089 x1
Sn 0.9587 0.6856 0.8114 x1
Sn 0.9598 0.6871 0.0055 x1
Sn 0.9701 0.0117 0.8474 x1
Sn 0.9707 0.0221 0.6430 x1
Sn 0.9795 0.0191 0.3526 x1
Sn 0.9832 0.0107 0.1452 x1
Sn 0.9884 0.3448 0.9822 x1
Sn 0.9894 0.3452 0.4711 x1
S 0.1107 0.5313 0.9121 x1
S 0.1363 0.1975 0.5750 x1
S 0.1370 0.1621 0.2478 x1
S 0.1637 0.1883 0.9089 x1
S 0.1723 0.5202 0.2507 x1
S 0.2645 0.0204 0.7515 x1
S 0.2719 0.6834 0.4080 x1
S 0.3021 0.6619 0.7501 x1
S 0.3028 0.6963 0.0730 x1
S 0.6036 0.3598 0.2447 x1
S 0.6156 0.0288 0.9084 x1
S 0.6189 0.0068 0.5772 x1
S 0.6437 0.3369 0.9137 x1
S 0.6734 0.3423 0.5757 x1
S 0.6843 0.0287 0.2459 x1
S 0.7605 0.8428 0.0754 x1
S 0.7637 0.5270 0.7463 x1
S 0.8003 0.8345 0.4123 x1
S 0.8234 0.5282 0.4087 x1
S 0.8242 0.5038 0.0731 x1
S 0.8305 0.8619 0.7455 x1
O 0.0124 0.4523 0.6281 x1
O 0.0239 0.7733 0.2531 x1
O 0.0270 0.9082 0.1903 x1
O 0.0373 0.4460 0.9171 x1
O 0.0378 0.9206 0.3074 x1
O 0.0412 0.9283 0.9058 x1
O 0.0446 0.9403 0.5862 x1
O 0.0468 0.7864 0.9662 x1
O 0.0500 0.5718 0.8586 x1
O 0.0515 0.7751 0.5729 x1
O 0.0643 0.1112 0.9042 x1
O 0.0656 0.4502 0.2494 x1
O 0.0681 0.1085 0.5784 x1
O 0.0702 0.2694 0.9060 x1
O 0.0735 0.5921 0.5698 x1
O 0.0743 0.2352 0.5204 x1
O 0.0746 0.4405 0.5146 x1
O 0.0771 0.2496 0.2488 x1
O 0.0825 0.5846 0.9646 x1
O 0.0829 0.1151 0.2990 x1
O 0.0826 0.7709 0.8505 x1
O 0.0941 0.1175 0.1919 x1
O 0.0983 0.6062 0.2538 x1
O 0.1056 0.2458 0.6270 x1
O 0.1354 0.6587 0.7512 x1
O 0.1395 0.6805 0.0649 x1
O 0.1396 0.9852 0.0852 x1
O 0.1467 0.3421 0.4101 x1
O 0.1478 0.0153 0.4089 x1
O 0.1592 0.3644 0.7476 x1
O 0.1639 0.3441 0.1316 x1
O 0.1647 0.6853 0.3583 x1
O 0.1706 0.0225 0.6981 x1
O 0.1733 0.0078 0.8047 x1
O 0.1792 0.3814 0.0168 x1
O 0.1983 0.6782 0.4640 x1
O 0.2373 0.1842 0.9647 x1
O 0.2593 0.8754 0.5227 x1
O 0.2619 0.8420 0.6385 x1
O 0.2629 0.5240 0.1959 x1
O 0.2676 0.5078 0.3023 x1
O 0.2690 0.1917 0.8589 x1
O 0.2747 0.5205 0.9094 x1
O 0.2790 0.8651 0.2493 x1
O 0.2939 0.8398 0.9102 x1
O 0.2971 0.4831 0.5829 x1
O 0.3008 0.1870 0.5700 x1
O 0.3039 0.1623 0.2473 x1
O 0.3237 0.7485 0.1240 x1
O 0.3367 0.1074 0.7544 x1
O 0.3453 0.6150 0.6963 x1
O 0.3526 0.9393 0.0130 x1
O 0.3540 0.0887 0.4701 x1
O 0.3577 0.6178 0.8038 x1
O 0.3578 0.7502 0.7509 x1
O 0.3586 0.2728 0.3492 x1
O 0.3626 0.0918 0.0702 x1
O 0.3652 0.7627 0.4048 x1
O 0.3664 0.7329 0.0182 x1
O 0.3683 0.6049 0.4036 x1
O 0.3734 0.9513 0.7507 x1
O 0.3745 0.6088 0.0790 x1
O 0.3819 0.2770 0.0707 x1
O 0.3839 0.4220 0.8127 x1
O 0.3913 0.2890 0.4671 x1
O 0.3933 0.4418 0.0855 x1
O 0.3993 0.0727 0.3535 x1
O 0.3999 0.4279 0.4052 x1
O 0.4056 0.9343 0.4183 x1
O 0.4182 0.2773 0.7544 x1
O 0.4186 0.4166 0.6956 x1
O 0.4299 0.9494 0.1248 x1
O 0.5085 0.7422 0.5225 x1
O 0.5137 0.6063 0.5893 x1
O 0.5308 0.2734 0.2436 x1
O 0.5464 0.4086 0.2953 x1
O 0.5481 0.6013 0.9071 x1
O 0.5479 0.9412 0.9058 x1
O 0.5490 0.0785 0.8587 x1
O 0.5499 0.6027 0.3018 x1
O 0.5549 0.0949 0.5696 x1
O 0.5557 0.4030 0.1885 x1
O 0.5587 0.2726 0.5690 x1
O 0.5633 0.9726 0.6316 x1
O 0.5688 0.7535 0.2484 x1
O 0.5687 0.7692 0.9196 x1
O 0.5816 0.4259 0.9061 x1
O 0.5824 0.6052 0.1849 x1
O 0.5857 0.1080 0.2454 x1
O 0.5877 0.3027 0.9680 x1
O 0.5883 0.9490 0.5264 x1
O 0.5923 0.0712 0.9633 x1
O 0.5944 0.4296 0.5788 x1
O 0.5977 0.9503 0.2476 x1
O 0.6072 0.7668 0.6314 x1
O 0.6076 0.2804 0.8627 x1
O 0.6326 0.1458 0.7507 x1
O 0.6357 0.8342 0.4145 x1
O 0.6594 0.1716 0.0664 x1
O 0.6585 0.5139 0.0743 x1
O 0.6591 0.5195 0.4017 x1
O 0.6686 0.5334 0.7994 x1
O 0.6693 0.8450 0.0212 x1
O 0.6701 0.1664 0.4687 x1
O 0.6696 0.2037 0.3533 x1
O 0.6706 0.8536 0.7508 x1
O 0.6744 0.5375 0.6920 x1
O 0.6789 0.8262 0.1278 x1
O 0.7526 0.3255 0.6292 x1
O 0.7644 0.3541 0.2484 x1
O 0.7679 0.3481 0.5230 x1
O 0.7676 0.6959 0.8526 x1
O 0.7689 0.0365 0.1891 x1
O 0.7729 0.6584 0.9663 x1
O 0.7742 0.6736 0.5635 x1
O 0.7795 0.0190 0.9012 x1
O 0.7853 0.0369 0.2962 x1
O 0.7863 0.0140 0.5783 x1
O 0.8053 0.6456 0.2516 x1
O 0.8102 0.3452 0.9152 x1
O 0.8313 0.2714 0.1271 x1
O 0.8415 0.9282 0.0777 x1
O 0.8415 0.7766 0.3622 x1
O 0.8476 0.5701 0.4640 x1
O 0.8507 0.4491 0.7480 x1
O 0.8520 0.9242 0.4025 x1
O 0.8536 0.4465 0.0212 x1
O 0.8589 0.1046 0.6868 x1
O 0.8636 0.6060 0.7472 x1
O 0.8649 0.8038 0.4666 x1
O 0.8699 0.2534 0.7484 x1
O 0.8744 0.7708 0.0702 x1
O 0.8758 0.2692 0.4187 x1
O 0.8761 0.9069 0.6910 x1
O 0.8801 0.4691 0.1270 x1
O 0.8815 0.1013 0.4054 x1
O 0.8853 0.1046 0.8040 x1
O 0.8888 0.5781 0.3593 x1
O 0.8902 0.4408 0.4058 x1
O 0.8905 0.9058 0.7982 x1
O 0.8962 0.5900 0.0652 x1
O 0.9049 0.7748 0.7426 x1
O 0.9199 0.1049 0.0905 x1
O 0.9268 0.2359 0.0206 x1

Summary:
E_form in eV/atom: -2.282
E_tot in eV per cell: -1396.5

---

no.,theoretical density (g cm⁻³)
1,3.0
2,3.2